[1]
Lu4B3C4 | r²SCAN | optimized geometry

Properties
**Total magnetization**: 0.00 μB/atom
**Energy relative to the elements**: -0.692 eV per atom
**Crystal system**: triclinic

Structure (CIF):
```
data_Lu4B3C4
_cell_length_a 3.3969
_cell_length_b 3.4816
_cell_length_c 11.7654
_cell_angle_alpha 92.50
_cell_angle_beta 96.37
_cell_angle_gamma 90.09
_symmetry_space_group_name_H-M 'P -1'
_symmetry_Int_Tables_number 2
loop_
_symmetry_equiv_pos_as_xyz
'x,y,z'
'-x,-y,-z'
loop_
_atom_site_label
_atom_site_type_symbol
_atom_site_fract_x
_atom_site_fract_y
_atom_site_fract_z
Lu1 Lu 0.1078 0.4508 0.1419
Lu2 Lu 0.3084 0.0221 0.6505
B1 B 0.2340 0.4939 0.4591
B2 B 0.5000 0.0000 0.0000
C1 C 0.1847 0.4751 0.3310
C2 C 0.3948 0.0582 0.8784
```



[2]
Lu3BC3 | r²SCAN | optimized geometry

Properties
**Total magnetization**: 0.00 μB/atom
**Energy relative to the elements**: -0.691 eV per atom
**Crystal system**: orthorhombic

Structure (CIF):
```
data_Lu3BC3
_cell_length_a 4.9593
_cell_length_b 4.9895
_cell_length_c 15.6507
_cell_angle_alpha 90.00
_cell_angle_beta 90.00
_cell_angle_gamma 90.00
_symmetry_space_group_name_H-M 'C m c m'
_symmetry_Int_Tables_number 63
_symmetry_space_group_name_Hall '-C 2c 2'
loop_
_atom_site_label
_atom_site_type_symbol
_atom_site_fract_x
_atom_site_fract_y
_atom_site_fract_z
Lu1 Lu 0.0000 0.0832 0.1046
Lu2 Lu 0.0000 0.4105 0.7500
B1 B 0.0000 0.5000 0.0000
C1 C 0.0000 0.0976 0.2500
C2 C 0.0000 0.4047 0.5875
```



[3]
MgB2C2 | r²SCAN | optimized geometry

Properties
**Total magnetization**: 0.00 μB/atom
**Energy relative to the elements**: -0.229 eV per atom
**Crystal system**: orthorhombic

Structure (CIF):
```
data_MgB2C2
_cell_length_a 10.8823
_cell_length_b 9.4304
_cell_length_c 7.4074
_cell_angle_alpha 90.00
_cell_angle_beta 90.00
_cell_angle_gamma 90.00
_symmetry_space_group_name_H-M 'C m c e'
_symmetry_Int_Tables_number 64
_symmetry_space_group_name_Hall '-C 2ac 2'
loop_
_atom_site_label
_atom_site_type_symbol
_atom_site_fract_x
_atom_site_fract_y
_atom_site_fract_z
Mg1 Mg 0.0000 0.2215 0.0092
Mg2 Mg 0.1523 0.0000 0.5000
B1 B 0.0000 0.0881 0.2752
B2 B 0.1278 0.1594 0.7549
B3 B 0.2500 0.0940 0.2500
C1 C 0.0000 0.0797 0.7301
C2 C 0.1245 0.1744 0.2759
C3 C 0.2500 0.0735 0.7500
```



[4]
MgB2C2 | r²SCAN | optimized geometry

Properties
**Total magnetization**: 0.00 μB/atom
**Energy relative to the elements**: -0.224 eV per atom
**Crystal system**: orthorhombic

Structure (CIF):
```
data_MgB2C2
_cell_length_a 4.6148
_cell_length_b 7.1789
_cell_length_c 2.7653
_cell_angle_alpha 90.00
_cell_angle_beta 90.00
_cell_angle_gamma 90.00
_symmetry_space_group_name_H-M 'P n n m'
_symmetry_Int_Tables_number 58
loop_
_symmetry_equiv_pos_as_xyz
'x,y,z'
'-x,-y,-z'
'-x,-y,z'
'x,y,-z'
'x+1/2,-y+1/2,-z+1/2'
'-x+1/2,y+1/2,z+1/2'
'-x+1/2,y+1/2,-z+1/2'
'x+1/2,-y+1/2,z+1/2'
loop_
_atom_site_label
_atom_site_type_symbol
_atom_site_fract_x
_atom_site_fract_y
_atom_site_fract_z
Mg1 Mg 0.0000 0.0000 0.0000
B1 B 0.1165 0.2704 0.5000
C1 C 0.2145 0.7797 0.5000
```